Compound: Sm6MnS10
Source: Materials Project
Functional: GGA-PBE
Structure: optimized geometry

Cell and atoms, written as CIF:
```
data_Sm6MnS10
_symmetry_space_group_name_H-M 'P 1'
_symmetry_Int_Tables_number 1
_symmetry_space_group_name_Hall 'P 1'
_cell_length_a 7.3100
_cell_length_b 7.3211
_cell_length_c 30.1661
_cell_angle_alpha 94.22
_cell_angle_beta 95.07
_cell_angle_gamma 108.87
loop_
_atom_site_label
_atom_site_type_symbol
_atom_site_fract_x
_atom_site_fract_y
_atom_site_fract_z
Sm1 Sm 0.0000 0.0000 0.0000
Sm2 Sm 0.0002 0.8811 0.1255
Sm3 Sm 0.0438 0.7974 0.8514
Sm4 Sm 0.1747 0.6655 0.3458
Sm5 Sm 0.1791 0.4426 0.1015
Sm6 Sm 0.2054 0.0828 0.5291
Sm7 Sm 0.2091 0.2141 0.3994
Sm8 Sm 0.2543 0.0154 0.2495
Sm9 Sm 0.2583 0.6356 0.6280
Sm10 Sm 0.3796 0.6364 0.4999
Sm11 Sm 0.3811 0.8905 0.7487
Sm12 Sm 0.3994 0.2859 0.9261
Sm13 Sm 0.3987 0.4035 0.8007
Sm14 Sm 0.5797 0.8395 0.9012
Sm15 Sm 0.5861 0.0862 0.1501
Sm16 Sm 0.6008 0.5922 0.2068
Sm17 Sm 0.6502 0.4078 0.0483
Sm18 Sm 0.6555 0.0302 0.4240
Sm19 Sm 0.7647 0.0351 0.3004
Sm20 Sm 0.7661 0.2832 0.5547
Sm21 Sm 0.7922 0.6651 0.7244
Sm22 Sm 0.8015 0.8056 0.6019
Sm23 Sm 0.8453 0.6042 0.4456
Sm24 Sm 0.9772 0.2276 0.6996
Mn1 Mn 0.0496 0.4447 0.2323
Mn2 Mn 0.4424 0.8211 0.0246
Mn3 Mn 0.8601 0.2396 0.8260
Mn4 Mn 0.9800 0.4724 0.9491
S1 S 0.0249 0.6661 0.0474
S2 S 0.0341 0.6639 0.5467
S3 S 0.0362 0.3081 0.4770
S4 S 0.0522 0.1911 0.6041
S5 S 0.0617 0.0693 0.7775
S6 S 0.0862 0.5768 0.7754
S7 S 0.1202 0.9050 0.6768
S8 S 0.1441 0.2910 0.2992
S9 S 0.2311 0.8728 0.4484
S10 S 0.2377 0.3853 0.0016
S11 S 0.2401 0.8549 0.9516
S12 S 0.2457 0.5157 0.8756
S13 S 0.2615 0.2670 0.1760
S14 S 0.2854 0.7734 0.1725
S15 S 0.3394 0.0987 0.0734
S16 S 0.3649 0.4967 0.7074
S17 S 0.4205 0.0612 0.8482
S18 S 0.4246 0.0496 0.3473
S19 S 0.4256 0.7153 0.2744
S20 S 0.4670 0.6047 0.4073
S21 S 0.4763 0.4663 0.5738
S22 S 0.4781 0.9486 0.5744
S23 S 0.5349 0.3052 0.4752
S24 S 0.5600 0.6998 0.0977
S25 S 0.6330 0.9003 0.6768
S26 S 0.6364 0.2578 0.2428
S27 S 0.6490 0.6787 0.9787
S28 S 0.6579 0.7811 0.8053
S29 S 0.6604 0.2676 0.7570
S30 S 0.6978 0.1897 0.9717
S31 S 0.7517 0.4975 0.8814
S32 S 0.7697 0.8940 0.5040
S33 S 0.8409 0.4717 0.1481
S34 S 0.8432 0.4692 0.6454
S35 S 0.8437 0.1186 0.0756
S36 S 0.8546 0.9702 0.2026
S37 S 0.8799 0.3518 0.3760
S38 S 0.8892 0.8737 0.3761
S39 S 0.9458 0.7010 0.2716
S40 S 0.9638 0.0940 0.8994
```

As for the space-group type: P1. As for the formation energy: -2.138 eV per atom. The uncorrected energy comes out at -440.59 eV per cell.

---

Compound: Mn2SnS4
Source: Materials Project
Functional: GGA-PBE
Structure: optimized geometry

Cell and atoms, written as CIF:
```
data_Mn2SnS4
_symmetry_space_group_name_H-M 'P 1'
_symmetry_Int_Tables_number 1
_symmetry_space_group_name_Hall 'P 1'
_cell_length_a 7.2548
_cell_length_b 7.2548
_cell_length_c 7.2548
_cell_angle_alpha 120.79
_cell_angle_beta 119.69
_cell_angle_gamma 89.58
loop_
_atom_site_label
_atom_site_type_symbol
_atom_site_fract_x
_atom_site_fract_y
_atom_site_fract_z
Mn1 Mn 0.0000 0.0000 0.5000
Mn2 Mn 0.0000 0.5000 0.0000
Mn3 Mn 0.3788 0.1288 0.2500
Mn4 Mn 0.6212 0.8712 0.7500
Sn1 Sn 0.0000 0.5000 0.5000
Sn2 Sn 0.5000 0.5000 0.0000
S1 S 0.2310 0.2404 0.9906
S2 S 0.2415 0.2181 0.4766
S3 S 0.2415 0.7649 0.0234
S4 S 0.2501 0.7596 0.4906
S5 S 0.7499 0.2404 0.5094
S6 S 0.7585 0.2351 0.9766
S7 S 0.7585 0.7819 0.5234
S8 S 0.7690 0.7596 0.0094
```

As for the space-group type: Imma. As for the formation energy: -0.472 eV per atom. The uncorrected energy comes out at -80.34 eV per cell. The energy above the lowest structure with this stoichiometry is 297.3 meV/atom.

---

Compound: Mn2SnS4
Source: Materials Project
Functional: GGA-PBE
Structure: optimized geometry

Cell and atoms, written as CIF:
```
data_Mn2SnS4
_symmetry_space_group_name_H-M 'P 1'
_symmetry_Int_Tables_number 1
_symmetry_space_group_name_Hall 'P 1'
_cell_length_a 6.3741
_cell_length_b 6.3741
_cell_length_c 3.6796
_cell_angle_alpha 90.00
_cell_angle_beta 90.00
_cell_angle_gamma 109.55
loop_
_atom_site_label
_atom_site_type_symbol
_atom_site_fract_x
_atom_site_fract_y
_atom_site_fract_z
Mn1 Mn 0.0000 0.5000 0.0000
Mn2 Mn 0.5000 0.0000 0.0000
Sn1 Sn 0.0000 0.0000 0.5000
S1 S 0.2478 0.7522 0.5000
S2 S 0.2491 0.2491 0.0000
S3 S 0.7509 0.7509 0.0000
S4 S 0.7522 0.2478 0.5000
```

As for the space-group type: Cmmm. As for the formation energy: -0.727 eV per atom. The uncorrected energy comes out at -41.96 eV per cell. The energy above the lowest structure with this stoichiometry is 41.8 meV/atom.